Model i:
VASP calculation (GGA+U) on crystalline CrSb2O6 at its relaxed geometry.

a = 4.7660 Å, b = 19.1789 Å, c = 4.7871 Å
α = 90.00°, β = 90.03°, γ = 90.00°
Fractional positions:
Cr1 0.0000 0.5000 0.0000
Cr2 0.5000 0.7500 0.5000
Cr3 0.0000 0.0000 0.0000
Cr4 0.5001 0.2500 0.5000
Sb1 0.0002 0.1666 0.0000
Sb2 0.0001 0.6666 0.0001
Sb3 0.4998 0.4165 0.5000
Sb4 0.4998 0.9164 0.5000
Sb5 0.5002 0.0835 0.5000
Sb6 0.5002 0.5835 0.5000
Sb7 0.9999 0.3334 0.0000
Sb8 0.9998 0.8334 0.0001
O1 0.8019 0.2499 0.1910
O2 0.8019 0.7499 0.1910
O3 0.3019 0.0001 0.3089
O4 0.3020 0.5002 0.3090
O5 0.6981 0.5001 0.6910
O6 0.6981 0.0001 0.6910
O7 0.1981 0.2500 0.8089
O8 0.1980 0.7499 0.8091
O9 0.8042 0.4174 0.1880
O10 0.8042 0.9174 0.1879
O11 0.8044 0.0829 0.1884
O12 0.8044 0.5829 0.1884
O13 0.3042 0.1670 0.3113
O14 0.3041 0.6670 0.3114
O15 0.3039 0.3327 0.3117
O16 0.3037 0.8327 0.3116
O17 0.6964 0.1670 0.6885
O18 0.6963 0.6670 0.6886
O19 0.6957 0.3327 0.6885
O20 0.6958 0.8327 0.6886
O21 0.1954 0.4174 0.8118
O22 0.1952 0.9174 0.8120
O23 0.1961 0.0829 0.8117
O24 0.1961 0.5829 0.8117

## Properties
magnetization: 0.00 μB per formula unit

Model ii:
VASP calculation (GGA+U) on crystalline CrSb2O6 at its relaxed geometry.

a = 5.3168 Å, b = 5.3168 Å, c = 4.7029 Å
α = 91.68°, β = 91.68°, γ = 121.09°
Fractional positions:
Cr1 0.0000 0.0000 0.0000
Sb1 0.3330 0.6670 0.5000
Sb2 0.6670 0.3330 0.5000
O1 0.0106 0.3675 0.7321
O2 0.3448 0.3448 0.2658
O3 0.3675 0.0106 0.7321
O4 0.6325 0.9894 0.2679
O5 0.6552 0.6552 0.7342
O6 0.9894 0.6325 0.2679

## Properties
magnetization: 4.00 μB per formula unit

It turns out model i is the most stable, with the second structure 58 meV/atom higher.

Model i:
VASP calculation (GGA+U) on crystalline CrSi4O10 at its relaxed geometry.

a = 7.5269 Å, b = 7.5269 Å, c = 16.1997 Å
α = 90.00°, β = 90.00°, γ = 90.00°
Fractional positions:
Cr1 0.2500 0.2500 0.0896
Cr2 0.2500 0.2500 0.5896
Cr3 0.7500 0.7500 0.4104
Cr4 0.7500 0.7500 0.9104
Si1 0.0193 0.0666 0.3464
Si2 0.0193 0.4334 0.8464
Si3 0.0666 0.0193 0.8464
Si4 0.0666 0.4807 0.3464
Si5 0.4334 0.0193 0.3464
Si6 0.4334 0.4807 0.8464
Si7 0.4807 0.0666 0.8464
Si8 0.4807 0.4334 0.3464
Si9 0.5193 0.5666 0.6536
Si10 0.5193 0.9334 0.1536
Si11 0.5666 0.5193 0.1536
Si12 0.5666 0.9807 0.6536
Si13 0.9334 0.5193 0.6536
Si14 0.9334 0.9807 0.1536
Si15 0.9807 0.5666 0.1536
Si16 0.9807 0.9334 0.6536
O1 0.0020 0.2218 0.8651
O2 0.0020 0.2782 0.3651
O3 0.0299 0.5299 0.2500
O4 0.0299 0.9701 0.7500
O5 0.0429 0.1194 0.0965
O6 0.0429 0.3806 0.5965
O7 0.1194 0.0429 0.5965
O8 0.1194 0.4571 0.0965
O9 0.2218 0.0020 0.3651
O10 0.2218 0.4980 0.8651
O11 0.2782 0.0020 0.8651
O12 0.2782 0.4980 0.3651
O13 0.3806 0.0429 0.0965
O14 0.3806 0.4571 0.5965
O15 0.4571 0.1194 0.5965
O16 0.4571 0.3806 0.0965
O17 0.4701 0.5299 0.7500
O18 0.4701 0.9701 0.2500
O19 0.4980 0.2218 0.3651
O20 0.4980 0.2782 0.8651
O21 0.5020 0.7218 0.1349
O22 0.5020 0.7782 0.6349
O23 0.5299 0.0299 0.7500
O24 0.5299 0.4701 0.2500
O25 0.5429 0.6194 0.9035
O26 0.5429 0.8806 0.4035
O27 0.6194 0.5429 0.4035
O28 0.6194 0.9571 0.9035
O29 0.7218 0.5020 0.6349
O30 0.7218 0.9980 0.1349
O31 0.7782 0.5020 0.1349
O32 0.7782 0.9980 0.6349
O33 0.8806 0.5429 0.9035
O34 0.8806 0.9571 0.4035
O35 0.9571 0.6194 0.4035
O36 0.9571 0.8806 0.9035
O37 0.9701 0.0299 0.2500
O38 0.9701 0.4701 0.7500
O39 0.9980 0.7218 0.6349
O40 0.9980 0.7782 0.1349

## Properties
magnetization: 2.02 μB per formula unit

Model ii:
VASP calculation (GGA+U) on crystalline CrSi4O10 at its relaxed geometry.

a = 7.1606 Å, b = 7.9791 Å, c = 9.5601 Å
α = 105.05°, β = 101.66°, γ = 112.90°
Fractional positions:
Cr1 0.2402 0.1780 0.0827
Cr2 0.7598 0.8220 0.9173
Si1 0.1192 0.8782 0.2550
Si2 0.2730 0.5864 0.2866
Si3 0.2979 0.1264 0.7459
Si4 0.4244 0.8016 0.6316
Si5 0.5756 0.1984 0.3684
Si6 0.7021 0.8736 0.2541
Si7 0.7270 0.4136 0.7134
Si8 0.8808 0.1218 0.7450
O1 0.0695 0.1239 0.6747
O2 0.0798 0.9392 0.1004
O3 0.1114 0.6640 0.2106
O4 0.1666 0.3541 0.1811
O5 0.2768 0.9099 0.6673
O6 0.2889 0.6179 0.4655
O7 0.3540 0.0409 0.3816
O8 0.3549 0.1852 0.9329
O9 0.4873 0.2949 0.7191
O10 0.4966 0.7342 0.7698
O11 0.5034 0.2658 0.2302
O12 0.5127 0.7051 0.2809
O13 0.6451 0.8148 0.0671
O14 0.6460 0.9591 0.6184
O15 0.7111 0.3821 0.5345
O16 0.7232 0.0901 0.3327
O17 0.8334 0.6459 0.8189
O18 0.8886 0.3360 0.7894
O19 0.9202 0.0608 0.8996
O20 0.9305 0.8761 0.3253

## Properties
magnetization: 2.00 μB per formula unit

It turns out model ii is the most stable, with the second structure 110 meV/atom higher.